Record 1
Computed, not measured: a relaxed structure of Sc7Cl12 at the PBE-GGA level of DFT.

Geometry as CIF:
```
data_Sc7Cl12
_chemical_formula_sum 'Sc21 Cl36'
_cell_length_a 13.2234
_cell_length_b 13.2234
_cell_length_c 9.0091
_cell_angle_alpha 90.00
_cell_angle_beta 90.00
_cell_angle_gamma 120.00
_symmetry_space_group_name_H-M 'R -3'
_symmetry_Int_Tables_number 148
_symmetry_space_group_name_Hall '-R 3'
loop_
_atom_site_label
_atom_site_type_symbol
_atom_site_fract_x
_atom_site_fract_y
_atom_site_fract_z
Sc1 Sc 0.0000 0.0000 0.0000
Sc2 Sc 0.0434 0.1608 0.3551
Cl1 Cl 0.0247 0.5847 0.1596
Cl2 Cl 0.0490 0.1750 0.8327
```

Computed properties:
V = 1364 Å³/cell
crystal system = trigonal
E = -100.1 eV per formula unit



Record 2
Computed, not measured: a relaxed structure of MgSn2N2 at the PBE-GGA level of DFT.

Geometry as CIF:
```
data_MgSn2N2
_chemical_formula_sum 'Mg1 Sn2 N2'
_cell_length_a 3.3605
_cell_length_b 3.3605
_cell_length_c 8.1884
_cell_angle_alpha 90.00
_cell_angle_beta 90.00
_cell_angle_gamma 90.00
_symmetry_space_group_name_H-M 'P -4 m 2'
_symmetry_Int_Tables_number 115
loop_
_symmetry_equiv_pos_as_xyz
'x,y,z'
'y,-x,-z'
'-x,-y,z'
'-y,x,-z'
'-x,y,z'
'-y,-x,-z'
'x,-y,z'
'y,x,-z'
loop_
_atom_site_label
_atom_site_type_symbol
_atom_site_fract_x
_atom_site_fract_y
_atom_site_fract_z
Mg1 Mg 0.0000 0.0000 0.0000
Sn1 Sn 0.5000 0.5000 0.3079
N1 N 0.0000 0.5000 0.8473
```

Computed properties:
V = 92 Å³/cell
crystal system = tetragonal
E = -26.5 eV per formula unit